# LaAl4

LaAl4 after structural relaxation (PBE, Materials Project).

Unit cell a=6.408 b=6.408 c=6.408 alpha=140.27 beta=140.27 gamma=57.45
Fractional coordinates of all 5 atoms:
1 Al 0.613 0.613 0.000
2 Al 0.250 0.750 0.500
3 La 0.000 0.000 0.000
4 Al 0.750 0.250 0.500
5 Al 0.387 0.387 0.000

electronic total energy	-4.342	eV per atom
DFT formation energy	-0.359	eV per atom
symmetry	No. 139
distance to the lowest polymorph of the same formula	0.000	eV per atom
calculated volume	106.6	Å³/cell

***

# LaAl

LaAl after structural relaxation (PBE, Materials Project).

Unit cell a=6.125 b=6.125 c=5.771 alpha=90.00 beta=90.00 gamma=101.34
Fractional coordinates of all 8 atoms:
1 Al 0.000 0.000 0.500
2 La 0.842 0.486 0.250
3 Al 0.304 0.304 0.250
4 La 0.486 0.842 0.250
5 Al 0.696 0.696 0.750
6 La 0.514 0.158 0.750
7 Al 0.000 0.000 0.000
8 La 0.158 0.514 0.750

electronic total energy	-4.752	eV per atom
DFT formation energy	-0.412	eV per atom
symmetry	No. 63
calculated volume	212.3	Å³/cell

***

# La3Al

La3Al after structural relaxation (PBE, Materials Project).

Unit cell a=5.463 b=7.265 c=7.265 alpha=60.00 beta=90.00 gamma=90.00
Fractional coordinates of all 8 atoms:
1 La 0.750 0.181 0.181
2 La 0.250 0.819 0.362
3 Al 0.250 0.333 0.333
4 La 0.250 0.819 0.819
5 La 0.250 0.362 0.819
6 La 0.750 0.638 0.181
7 La 0.750 0.181 0.638
8 Al 0.750 0.667 0.667

electronic total energy	-4.840	eV per atom
DFT formation energy	-0.201	eV per atom
symmetry	No. 194
calculated volume	249.7	Å³/cell

***

# LiLa4AlO8

LiLa4AlO8 after structural relaxation (PBE, Materials Project).

Unit cell a=6.895 b=6.895 c=5.395 alpha=90.00 beta=90.00 gamma=134.05
Fractional coordinates of all 14 atoms:
1 La 0.363 0.637 0.000
2 La 0.637 0.363 0.000
3 La 0.864 0.136 0.500
4 O 0.743 0.743 0.739
5 O 0.820 0.180 0.000
6 O 0.257 0.257 0.261
7 La 0.136 0.864 0.500
8 O 0.670 0.330 0.500
9 Al 0.500 0.500 0.500
10 O 0.257 0.257 0.739
11 O 0.180 0.820 0.000
12 O 0.330 0.670 0.500
13 O 0.743 0.743 0.261
14 Li 0.000 0.000 0.000

electronic total energy	-7.843	eV per atom
DFT formation energy	-3.594	eV per atom
symmetry	No. 65
size of the total moment	0.0	μB/cell
calculated volume	184.3	Å³/cell